The following is a GGA+U calculation of an optimized crystal structure of K6W4CO29, from the Materials Project database.

Structure (POSCAR):
```
K6W4CO29
1.0
-2.2193 -16.4173 9.2085
2.9163 -6.7452 -11.3227
10.8785 0.8604 2.2893
O W K C
116 16 24 4
direct
0.1402 0.2218 0.9483 O
0.4206 0.5898 0.3896 O
0.9377 0.7524 0.7424 O
0.2687 0.8843 0.5049 O
0.9424 0.3463 0.3649 O
0.5251 0.9385 0.7664 O
0.0099 0.9176 0.6385 O
0.5794 0.4102 0.6104 O
0.2346 0.6946 0.1455 O
0.5358 0.7054 0.9382 O
0.0725 0.8558 0.6818 O
0.4651 0.9040 0.7710 O
0.3598 0.7218 0.5517 O
0.5112 0.1266 0.9303 O
0.7687 0.6157 0.0049 O
0.3255 0.8619 0.1213 O
0.6402 0.2782 0.4483 O
0.4888 0.8734 0.0697 O
0.9025 0.7974 0.5296 O
0.3185 0.4084 0.5870 O
0.8598 0.7782 0.0517 O
0.7757 0.2801 0.3562 O
0.5623 0.2524 0.7576 O
0.8884 0.0566 0.8100 O
0.5576 0.8463 0.1351 O
0.5975 0.2974 0.9704 O
0.3226 0.5876 0.7782 O
0.5725 0.6442 0.1818 O
0.1815 0.9084 0.9130 O
0.1918 0.6470 0.4039 O
0.6026 0.8843 0.5443 O
0.7346 0.8054 0.6455 O
0.0112 0.3734 0.4303 O
0.2459 0.0897 0.0498 O
0.6815 0.5916 0.4130 O
0.9749 0.4385 0.7336 O
0.9888 0.6266 0.5697 O
0.8255 0.6381 0.6213 O
0.0794 0.0898 0.1104 O
0.7729 0.9715 0.2587 O
0.4377 0.7476 0.2424 O
0.9642 0.2054 0.5618 O
0.5059 0.2947 0.4474 O
0.0576 0.6537 0.6351 O
0.9275 0.1442 0.3182 O
0.6745 0.1381 0.8787 O
0.6116 0.5566 0.6900 O
0.0623 0.2476 0.2576 O
0.0251 0.5615 0.2664 O
0.3884 0.4434 0.3100 O
0.5349 0.0960 0.2290 O
0.0694 0.3803 0.0615 O
0.7313 0.1157 0.4951 O
0.2964 0.3484 0.0674 O
0.1768 0.2527 0.1647 O
0.5099 0.5824 0.1385 O
0.7459 0.4103 0.5498 O
0.6500 0.4196 0.7861 O
0.0059 0.2053 0.9474 O
0.6918 0.8530 0.9039 O
0.4941 0.7053 0.5526 O
0.0358 0.7946 0.4382 O
0.2729 0.5285 0.7587 O
0.3974 0.1157 0.4557 O
0.2318 0.1727 0.4656 O
0.2036 0.8484 0.4326 O
0.6774 0.4124 0.2218 O
0.1774 0.0876 0.7218 O
0.7964 0.1516 0.5674 O
0.9901 0.0824 0.3615 O
0.7682 0.8273 0.5344 O
0.0315 0.7749 0.9502 O
0.4901 0.4176 0.8615 O
0.9941 0.7947 0.0526 O
0.2654 0.1946 0.3545 O
0.7541 0.9103 0.9502 O
0.3500 0.5804 0.2139 O
0.4306 0.8803 0.4385 O
0.7036 0.6516 0.9326 O
0.5694 0.1197 0.5615 O
0.4642 0.2946 0.0618 O
0.8185 0.0916 0.0870 O
0.4025 0.7026 0.0296 O
0.7654 0.3054 0.8545 O
0.8226 0.9124 0.2782 O
0.1500 0.0804 0.2861 O
0.4424 0.1537 0.8649 O
0.7318 0.3273 0.9656 O
0.7271 0.4715 0.2413 O
0.6768 0.2473 0.6647 O
0.8232 0.7473 0.8353 O
0.2243 0.7199 0.6438 O
0.9306 0.6197 0.9385 O
0.8500 0.9196 0.7139 O
0.2541 0.5897 0.4502 O
0.4749 0.0615 0.2336 O
0.2757 0.2199 0.8562 O
0.1116 0.9434 0.1900 O
0.9651 0.5960 0.2710 O
0.2682 0.6727 0.0344 O
0.8974 0.3843 0.9557 O
0.0349 0.4040 0.7290 O
0.1745 0.3619 0.3787 O
0.4685 0.2749 0.5498 O
0.9206 0.9102 0.8896 O
0.3232 0.7527 0.3353 O
0.9685 0.2251 0.0498 O
0.5315 0.7251 0.4502 O
0.2271 0.0285 0.7413 O
0.1026 0.6157 0.0443 O
0.2313 0.3843 0.9951 O
0.3082 0.1470 0.0961 O
0.4275 0.3558 0.8182 O
0.0975 0.2026 0.4704 O
0.7243 0.7801 0.1438 O
0.8082 0.3530 0.5961 O
0.8380 0.7656 0.6575 W
0.0027 0.7743 0.5799 W
0.3380 0.7344 0.1575 W
0.4973 0.2743 0.9201 W
0.9223 0.7478 0.9198 W
0.2597 0.7354 0.5039 W
0.5777 0.2478 0.5802 W
0.5027 0.7257 0.0799 W
0.0777 0.2522 0.0802 W
0.2403 0.2354 0.9961 W
0.7597 0.7646 0.0039 W
0.9973 0.2257 0.4201 W
0.6620 0.2656 0.8425 W
0.7403 0.2646 0.4961 W
0.4223 0.7522 0.4198 W
0.1620 0.2344 0.3425 W
0.8824 0.0092 0.5035 K
0.6176 0.5092 0.9965 K
0.1041 0.7580 0.2280 K
0.1361 0.4869 0.5479 K
0.2936 0.9886 0.3029 K
0.3824 0.4908 0.0035 K
0.0584 0.0127 0.8758 K
0.2064 0.4886 0.1971 K
0.6041 0.7420 0.7280 K
0.3639 0.9869 0.9521 K
0.6361 0.0131 0.0479 K
0.7064 0.0114 0.6971 K
0.3959 0.2580 0.2720 K
0.1176 0.9908 0.4965 K
0.7936 0.5114 0.8029 K
0.3427 0.2102 0.6415 K
0.5584 0.4873 0.3758 K
0.4416 0.5127 0.6242 K
0.1573 0.7102 0.8585 K
0.6573 0.7898 0.3585 K
0.8959 0.2420 0.7720 K
0.9416 0.9873 0.1242 K
0.8427 0.2898 0.1415 K
0.8639 0.5131 0.4521 K
0.8862 0.9637 0.8051 C
0.3862 0.5363 0.3051 C
0.6138 0.4637 0.6949 C
0.1138 0.0363 0.1949 C
```

Calculated values
symmetry	P2_1/c, No. 14
ΔE_f	-1.1540	eV per atom
electronic total energy	-5.874	eV/atom


The following is a GGA+U calculation of an optimized crystal structure of NaLi2MnPCO7, from the Materials Project database.

Structure (POSCAR):
```
NaLi2MnPCO7
1.0
-1.4316 -3.7433 -5.3933
2.8140 -7.0496 4.1809
-9.4161 -1.3864 3.4696
Li O Na C Mn P
8 28 4 4 4 4
direct
0.7738 0.0903 0.1253 Li
0.0276 0.7247 0.1111 Li
0.5241 0.2648 0.8832 Li
0.9744 0.2649 0.8831 Li
0.9718 0.2741 0.3890 Li
0.4712 0.7268 0.6173 Li
0.2541 0.9215 0.8718 Li
0.7434 0.0881 0.6308 Li
0.2513 0.0923 0.0090 O
0.9259 0.3159 0.5943 O
0.2539 0.1392 0.2282 O
0.7291 0.5734 0.5974 O
0.7826 0.0984 0.3286 O
0.0722 0.6901 0.8962 O
0.2402 0.1441 0.7456 O
0.2170 0.8959 0.1491 O
0.2310 0.4165 0.4055 O
0.4394 0.6865 0.9018 O
0.7688 0.4177 0.2953 O
0.7716 0.5744 0.0901 O
0.7551 0.4182 0.8038 O
0.7468 0.1077 0.8360 O
0.7565 0.9207 0.4885 O
0.7536 0.8590 0.7711 O
0.2331 0.5740 0.1992 O
0.4274 0.6728 0.4010 O
0.2540 0.1061 0.5262 O
0.7434 0.8487 0.2732 O
0.2825 0.9037 0.6626 O
0.9336 0.3038 0.0870 O
0.0587 0.6811 0.4045 O
0.5614 0.3049 0.6078 O
0.2633 0.5807 0.6972 O
0.2503 0.4249 0.9027 O
0.5690 0.3189 0.0956 O
0.7477 0.9204 0.9884 O
0.5004 0.2495 0.3744 Na
0.5019 0.7489 0.1251 Na
0.9982 0.7516 0.6286 Na
0.2396 0.9151 0.3770 Na
0.2404 0.0418 0.1282 C
0.7493 0.9623 0.8668 C
0.2595 0.0508 0.6438 C
0.7612 0.9566 0.3642 C
0.7534 0.6462 0.8866 Mn
0.2436 0.3535 0.6157 Mn
0.2505 0.3510 0.1062 Mn
0.7453 0.6391 0.3899 Mn
0.2373 0.5833 0.3537 P
0.2565 0.5929 0.8516 P
0.7604 0.4067 0.1410 P
0.7427 0.4058 0.6493 P
```

Calculated values
symmetry	P1, No. 1
ΔE_f	-2.3915	eV per atom
electronic total energy	-6.784	eV/atom
excess energy over the best structure of this formula in the dataset	0.018	eV/atom


The following is a GGA+U calculation of an optimized crystal structure of NaLi5Mn2P2C2O14, from the Materials Project database.

Structure (POSCAR):
```
NaLi5Mn2P2C2O14
1.0
6.6432 0.0000 0.0000
-0.0532 8.6493 0.0000
-0.0244 -0.3359 10.0124
C Li O Na Mn P
4 10 28 2 4 4
direct
0.7593 0.9562 0.3615 C
0.2505 0.0387 0.1272 C
0.7503 0.9625 0.8643 C
0.2495 0.0477 0.6419 C
0.4752 0.7343 0.1116 Li
0.0254 0.7321 0.1110 Li
0.5234 0.2628 0.8830 Li
0.9743 0.2646 0.8839 Li
0.9729 0.2722 0.3884 Li
0.2486 0.9205 0.8716 Li
0.4738 0.7331 0.6158 Li
0.7628 0.0877 0.1254 Li
0.0257 0.7329 0.6162 Li
0.7562 0.0830 0.6309 Li
0.9286 0.3116 0.5965 O
0.4357 0.6897 0.9073 O
0.5602 0.3166 0.6047 O
0.2496 0.0916 0.0081 O
0.2524 0.1064 0.5249 O
0.0625 0.6836 0.4099 O
0.2296 0.4164 0.4027 O
0.7444 0.8487 0.2676 O
0.7510 0.8596 0.7658 O
0.2492 0.5889 0.6981 O
0.0673 0.6891 0.9074 O
0.4322 0.6721 0.4135 O
0.7510 0.5784 0.0946 O
0.2512 0.8980 0.6567 O
0.7672 0.4178 0.2983 O
0.2441 0.1393 0.7471 O
0.2499 0.8905 0.1456 O
0.2518 0.4246 0.8999 O
0.2513 0.1354 0.2300 O
0.7563 0.4181 0.8076 O
0.9337 0.3129 0.0853 O
0.7475 0.1086 0.8351 O
0.7825 0.0991 0.3274 O
0.5659 0.3132 0.0969 O
0.7527 0.9200 0.9865 O
0.2474 0.5823 0.2005 O
0.7521 0.5789 0.6029 O
0.7502 0.9201 0.4862 O
0.5001 0.2482 0.3756 Na
0.2453 0.9139 0.3761 Na
0.2453 0.3542 0.6190 Mn
0.7510 0.6501 0.8857 Mn
0.7473 0.6430 0.3893 Mn
0.2487 0.3517 0.1089 Mn
0.7544 0.4093 0.1424 P
0.2428 0.5856 0.3572 P
0.2509 0.5951 0.8548 P
0.7489 0.4092 0.6513 P
```

Calculated values
symmetry	P1, No. 1
ΔE_f	-2.3983	eV per atom
electronic total energy	-6.813	eV/atom
excess energy over the best structure of this formula in the dataset	0.006	eV/atom


The following is a GGA+U calculation of an optimized crystal structure of NaLi5Mn2P2C2O14, from the Materials Project database.

Structure (POSCAR):
```
NaLi5Mn2P2C2O14
1.0
-4.7948 1.4095 -0.3750
-1.7704 -7.9712 -2.8692
-2.1034 -3.8829 12.5530
O Na C Li P Mn
28 2 4 10 4 4
direct
0.9745 0.9213 0.6225 O
0.2783 0.8963 0.3764 O
0.7963 0.4128 0.3731 O
0.3991 0.5842 0.3765 O
0.7826 0.6863 0.9690 O
0.8083 0.4235 0.8746 O
0.0306 0.0790 0.8720 O
0.8194 0.6757 0.2837 O
0.3473 0.9001 0.8587 O
0.0370 0.1115 0.3749 O
0.5361 0.8538 0.6203 O
0.5395 0.8555 0.1328 O
0.1924 0.5754 0.1329 O
0.1745 0.3169 0.0328 O
0.6005 0.4158 0.6272 O
0.5993 0.4143 0.1238 O
0.8281 0.6891 0.7849 O
0.6642 0.1052 0.6248 O
0.6686 0.1059 0.1252 O
0.1958 0.5790 0.6272 O
0.4822 0.1343 0.3756 O
0.1782 0.3120 0.7158 O
0.9779 0.9213 0.1261 O
0.1832 0.3160 0.5326 O
0.1884 0.3069 0.2165 O
0.3970 0.5793 0.8617 O
0.4681 0.1508 0.8748 O
0.8249 0.6736 0.4687 O
0.2528 0.7530 0.9993 Na
0.7519 0.9120 0.3766 Na
0.2795 0.0429 0.8684 C
0.7312 0.9609 0.1277 C
0.7270 0.9604 0.6226 C
0.2660 0.0467 0.3757 C
0.7709 0.2678 0.7349 Li
0.7728 0.2644 0.2401 Li
0.2577 0.0899 0.1318 Li
0.2242 0.7332 0.4890 Li
0.7462 0.9164 0.8640 Li
0.2231 0.7276 0.2677 Li
0.7705 0.2656 0.0132 Li
0.2291 0.7297 0.7618 Li
0.2584 0.0851 0.6266 Li
0.7746 0.2642 0.5122 Li
0.7123 0.5835 0.3755 P
0.2865 0.4066 0.1263 P
0.7074 0.5912 0.8727 P
0.2872 0.4090 0.6260 P
0.2232 0.3531 0.8745 Mn
0.7739 0.6462 0.6267 Mn
0.2290 0.3513 0.3755 Mn
0.7725 0.6434 0.1262 Mn
```

Calculated values
symmetry	P1, No. 1
ΔE_f	-2.4000	eV per atom
electronic total energy	-6.815	eV/atom
excess energy over the best structure of this formula in the dataset	0.005	eV/atom


Q: What is the formula in the first record?
A: K6W4CO29


Q: What is the ΔE_f in the fourth record?
A: -2.4000 eV per atom